Compound: CoH2O2
Source: Materials Project
Functional: PBE with a Hubbard U
Structure: optimized geometry

Cell and atoms, written as extended XYZ:
```
5
Lattice="-1.5891 -2.7724 0.0153 3.2094 -0.0164 0.0042 0.0020 -0.0345 4.7784" Properties=species:S:1:pos:R:3 pbc="T T T"
Co 0.1007 -0.1723 0.0014
H 0.0798 -2.0546 2.7687
H 1.7486 -1.1250 2.0317
O 0.0925 -2.0569 3.7422
O 1.7316 -1.1133 1.0578
```

## Properties
- MP2020-corrected energy: -6.004 eV/atom
- Symmetry: No. 1
- Distance to the lowest polymorph of the same formula: 0 meV per atom
- Formation enthalpy at 0 K: -1.25 eV per atom
- Mass density: 3.62 g/cm³